1.
# Ce19Ga13 | Materials Project | PBE | relaxed
data_Ce19Ga13
_chemical_formula_sum 'Ce19 Ga13'
_cell_length_a 8.292
_cell_length_b 8.292
_cell_length_c 11.603
_cell_angle_alpha 90.00
_cell_angle_beta 90.00
_cell_angle_gamma 90.00
_space_group_name_H-M_alt 'P 1'
_space_group_IT_number 1
loop_
_space_group_symop_operation_xyz
'x,y,z'
loop_
_atom_site_label
_atom_site_type_symbol
_atom_site_fract_x
_atom_site_fract_y
_atom_site_fract_z
_atom_site_occupancy
Ce1 Ce 0.750 0.750 0.251 1
Ce2 Ce 0.417 0.584 0.414 1
Ce3 Ce 0.584 0.083 0.086 1
Ce4 Ce 0.408 0.934 0.910 1
Ce5 Ce 0.092 0.566 0.910 1
Ce6 Ce 0.916 0.417 0.086 1
Ce7 Ce 0.916 0.417 0.414 1
Ce8 Ce 0.933 0.092 0.589 1
Ce9 Ce 0.092 0.567 0.589 1
Ce10 Ce 0.934 0.092 0.910 1
Ce11 Ce 0.566 0.408 0.910 1
Ce12 Ce 0.567 0.408 0.589 1
Ce13 Ce 0.083 0.916 0.086 1
Ce14 Ce 0.584 0.083 0.414 1
Ce15 Ce 0.408 0.933 0.589 1
Ce16 Ce 0.083 0.916 0.414 1
Ce17 Ce 0.750 0.750 0.752 1
Ce18 Ce 0.250 0.250 0.253 1
Ce19 Ce 0.417 0.584 0.086 1
Ga1 Ga 0.117 0.864 0.749 1
Ga2 Ga 0.750 0.750 0.002 1
Ga3 Ga 0.383 0.636 0.749 1
Ga4 Ga 0.621 0.377 0.250 1
Ga5 Ga 0.250 0.250 0.511 1
Ga6 Ga 0.636 0.117 0.749 1
Ga7 Ga 0.377 0.879 0.250 1
Ga8 Ga 0.864 0.383 0.749 1
Ga9 Ga 0.250 0.250 0.992 1
Ga10 Ga 0.123 0.621 0.250 1
Ga11 Ga 0.250 0.250 0.750 1
Ga12 Ga 0.879 0.123 0.250 1
Ga13 Ga 0.750 0.750 0.501 1
# energy = -0.189 hartree per atom
# symmetry = P4

=====

2.
# Dy3TaO7 | Materials Project | PBE | relaxed
data_Dy3TaO7
_chemical_formula_sum 'Dy6 Ta2 O14'
_cell_length_a 6.487
_cell_length_b 6.487
_cell_length_c 7.511
_cell_angle_alpha 90.00
_cell_angle_beta 90.00
_cell_angle_gamma 109.17
_space_group_name_H-M_alt 'P 1'
_space_group_IT_number 1
loop_
_space_group_symop_operation_xyz
'x,y,z'
loop_
_atom_site_label
_atom_site_type_symbol
_atom_site_fract_x
_atom_site_fract_y
_atom_site_fract_z
_atom_site_occupancy
O1 O 0.362 0.638 0.250 1
O2 O 0.685 0.940 0.038 1
O3 O 0.674 0.920 0.471 1
O4 O 0.080 0.326 0.029 1
O5 O 0.932 0.068 0.750 1
O6 O 0.629 0.371 0.250 1
O7 O 0.326 0.080 0.971 1
O8 O 0.940 0.685 0.962 1
O9 O 0.315 0.060 0.538 1
O10 O 0.920 0.674 0.529 1
O11 O 0.638 0.362 0.750 1
O12 O 0.068 0.932 0.250 1
O13 O 0.060 0.315 0.462 1
O14 O 0.371 0.629 0.750 1
Dy1 Dy 0.000 0.465 0.746 1
Dy2 Dy 0.465 0.000 0.254 1
Dy3 Dy 0.525 0.525 0.500 1
Dy4 Dy 0.000 0.535 0.246 1
Dy5 Dy 0.535 0.000 0.754 1
Dy6 Dy 0.475 0.475 0.000 1
Ta1 Ta 0.002 0.002 0.500 1
Ta2 Ta 0.998 0.998 0.000 1
# energy = -0.327 hartree per atom
# polymorph energy (0 for the lowest one) = 0 kJ/mol of formula units
# symmetry = C222_1

=====

3.
# NaAlSiSnS2O12 | Materials Project | PBE | relaxed
data_NaAlSiSnS2O12
_chemical_formula_sum 'Na6 Al6 Si6 Sn6 S12 O72'
_cell_length_a 8.626
_cell_length_b 8.605
_cell_length_c 22.522
_cell_angle_alpha 89.94
_cell_angle_beta 90.00
_cell_angle_gamma 120.08
_space_group_name_H-M_alt 'P 1'
_space_group_IT_number 1
loop_
_space_group_symop_operation_xyz
'x,y,z'
loop_
_atom_site_label
_atom_site_type_symbol
_atom_site_fract_x
_atom_site_fract_y
_atom_site_fract_z
_atom_site_occupancy
S1 S 0.623 0.656 0.916 1
S2 S 0.951 0.328 0.581 1
S3 S 0.338 0.963 0.914 1
S4 S 0.004 0.714 0.749 1
S5 S 0.006 0.295 0.248 1
S6 S 0.710 0.714 0.249 1
S7 S 0.033 0.656 0.416 1
S8 S 0.674 0.622 0.583 1
S9 S 0.289 0.295 0.748 1
S10 S 0.625 0.963 0.414 1
S11 S 0.949 0.622 0.083 1
S12 S 0.377 0.328 0.081 1
O1 O 0.818 0.033 0.808 1
O2 O 0.626 0.108 0.142 1
O3 O 0.629 0.490 0.925 1
O4 O 0.814 0.788 0.305 1
O5 O 0.811 0.812 0.911 1
O6 O 0.696 0.534 0.243 1
O7 O 0.301 0.857 0.970 1
O8 O 0.851 0.371 0.921 1
O9 O 0.886 0.372 0.637 1
O10 O 0.159 0.187 0.414 1
O11 O 0.702 0.164 0.025 1
O12 O 0.520 0.371 0.421 1
O13 O 0.001 0.812 0.411 1
O14 O 0.161 0.460 0.976 1
O15 O 0.122 0.638 0.363 1
O16 O 0.515 0.638 0.863 1
O17 O 0.483 0.172 0.247 1
O18 O 0.370 0.879 0.862 1
O19 O 0.215 0.033 0.308 1
O20 O 0.834 0.802 0.589 1
O21 O 0.306 0.811 0.260 1
O22 O 0.032 0.827 0.696 1
O23 O 0.163 0.693 0.755 1
O24 O 0.802 0.973 0.407 1
O25 O 0.152 0.513 0.857 1
O26 O 0.862 0.490 0.425 1
O27 O 0.344 0.840 0.577 1
O28 O 0.350 0.487 0.078 1
O29 O 0.806 0.966 0.690 1
O30 O 0.171 0.973 0.907 1
O31 O 0.201 0.163 0.089 1
O32 O 0.530 0.693 0.255 1
O33 O 0.147 0.705 0.470 1
O34 O 0.957 0.182 0.303 1
O35 O 0.026 0.205 0.196 1
O36 O 0.852 0.328 0.244 1
O37 O 0.299 0.460 0.476 1
O38 O 0.843 0.310 0.529 1
O39 O 0.973 0.788 0.805 1
O40 O 0.467 0.310 0.029 1
O41 O 0.510 0.879 0.362 1
O42 O 0.496 0.840 0.077 1
O43 O 0.225 0.182 0.803 1
O44 O 0.856 0.023 0.094 1
O45 O 0.494 0.144 0.923 1
O46 O 0.486 0.372 0.137 1
O47 O 0.795 0.827 0.196 1
O48 O 0.838 0.537 0.030 1
O49 O 0.476 0.328 0.744 1
O50 O 0.556 0.857 0.470 1
O51 O 0.511 0.641 0.579 1
O52 O 0.297 0.468 0.756 1
O53 O 0.838 0.534 0.743 1
O54 O 0.505 0.811 0.760 1
O55 O 0.699 0.537 0.530 1
O56 O 0.558 0.705 0.970 1
O57 O 0.160 0.966 0.190 1
O58 O 0.130 0.641 0.079 1
O59 O 0.873 0.517 0.139 1
O60 O 0.360 0.513 0.357 1
O61 O 0.167 0.023 0.594 1
O62 O 0.688 0.172 0.747 1
O63 O 0.179 0.205 0.696 1
O64 O 0.171 0.468 0.256 1
O65 O 0.136 0.487 0.578 1
O66 O 0.963 0.163 0.589 1
O67 O 0.650 0.144 0.423 1
O68 O 0.462 0.164 0.525 1
O69 O 0.028 0.187 0.914 1
O70 O 0.481 0.108 0.642 1
O71 O 0.968 0.802 0.089 1
O72 O 0.644 0.517 0.639 1
Si1 Si 0.361 0.040 0.582 1
Si2 Si 0.048 0.389 0.914 1
Si3 Si 0.702 0.986 0.747 1
Si4 Si 0.284 0.986 0.247 1
Si5 Si 0.679 0.040 0.082 1
Si6 Si 0.341 0.389 0.414 1
Al1 Al 0.995 0.996 0.647 1
Al2 Al 0.001 0.996 0.147 1
Al3 Al 0.631 0.324 0.479 1
Al4 Al 0.334 0.669 0.813 1
Al5 Al 0.335 0.669 0.313 1
Al6 Al 0.693 0.324 0.979 1
Sn1 Sn 0.653 0.313 0.185 1
Sn2 Sn 0.333 0.668 0.518 1
Sn3 Sn 0.660 0.313 0.685 1
Sn4 Sn 0.017 0.013 0.352 1
Sn5 Sn 0.335 0.668 0.018 1
Sn6 Sn 0.996 0.013 0.852 1
Na1 Na 0.342 0.687 0.169 1
Na2 Na 0.681 0.326 0.835 1
Na3 Na 0.345 0.687 0.669 1
Na4 Na 0.994 0.015 0.003 1
Na5 Na 0.645 0.326 0.335 1
Na6 Na 0.021 0.015 0.503 1
# energy = -0.237 hartree per atom
# symmetry = Cc

=====

4.
# Ba2NdSbO6 | Materials Project | PBE | relaxed
data_Ba2NdSbO6
_chemical_formula_sum 'Ba8 Nd4 Sb4 O24'
_cell_length_a 8.688
_cell_length_b 8.688
_cell_length_c 8.688
_cell_angle_alpha 90.00
_cell_angle_beta 90.00
_cell_angle_gamma 90.00
_space_group_name_H-M_alt 'P 1'
_space_group_IT_number 1
loop_
_space_group_symop_operation_xyz
'x,y,z'
loop_
_atom_site_label
_atom_site_type_symbol
_atom_site_fract_x
_atom_site_fract_y
_atom_site_fract_z
_atom_site_occupancy
Ba1 Ba 0.000 0.500 0.000 1
Ba2 Ba 0.500 0.500 0.000 1
Ba3 Ba 0.000 0.000 0.000 1
Ba4 Ba 0.500 0.000 0.500 1
Ba5 Ba 0.000 0.500 0.500 1
Ba6 Ba 0.000 0.000 0.500 1
Ba7 Ba 0.500 0.000 0.000 1
Ba8 Ba 0.500 0.500 0.500 1
O1 O 0.482 0.764 0.735 1
O2 O 0.735 0.482 0.764 1
O3 O 0.236 0.735 0.518 1
O4 O 0.765 0.018 0.736 1
O5 O 0.264 0.235 0.018 1
O6 O 0.265 0.518 0.764 1
O7 O 0.764 0.735 0.482 1
O8 O 0.235 0.018 0.264 1
O9 O 0.518 0.236 0.735 1
O10 O 0.482 0.236 0.265 1
O11 O 0.264 0.765 0.982 1
O12 O 0.736 0.235 0.982 1
O13 O 0.982 0.264 0.765 1
O14 O 0.236 0.265 0.482 1
O15 O 0.736 0.765 0.018 1
O16 O 0.765 0.982 0.264 1
O17 O 0.235 0.982 0.736 1
O18 O 0.982 0.736 0.235 1
O19 O 0.764 0.265 0.518 1
O20 O 0.018 0.736 0.765 1
O21 O 0.265 0.482 0.236 1
O22 O 0.018 0.264 0.235 1
O23 O 0.735 0.518 0.236 1
O24 O 0.518 0.764 0.265 1
Nd1 Nd 0.750 0.750 0.750 1
Nd2 Nd 0.250 0.750 0.250 1
Nd3 Nd 0.250 0.250 0.750 1
Nd4 Nd 0.750 0.250 0.250 1
Sb1 Sb 0.750 0.250 0.750 1
Sb2 Sb 0.250 0.750 0.750 1
Sb3 Sb 0.250 0.250 0.250 1
Sb4 Sb 0.750 0.750 0.250 1
# energy = -0.251 hartree per atom
# symmetry = Pn-3

=====

5.
# PuSb3 | Materials Project | PBE | relaxed
data_PuSb3
_chemical_formula_sum 'Pu1 Sb3'
_cell_length_a 6.095
_cell_length_b 6.095
_cell_length_c 6.095
_cell_angle_alpha 137.70
_cell_angle_beta 137.70
_cell_angle_gamma 61.36
_space_group_name_H-M_alt 'P 1'
_space_group_IT_number 1
loop_
_space_group_symop_operation_xyz
'x,y,z'
loop_
_atom_site_label
_atom_site_type_symbol
_atom_site_fract_x
_atom_site_fract_y
_atom_site_fract_z
_atom_site_occupancy
Sb1 Sb 0.500 0.500 0.000 1
Sb2 Sb 0.250 0.750 0.500 1
Sb3 Sb 0.750 0.250 0.500 1
Pu1 Pu 0.000 0.000 0.000 1
# energy = -0.257 hartree per atom
# symmetry = I4/mmm

=====

6.
# Sr2PrGaCu2O7 | Materials Project | PBE | relaxed
data_Sr2PrGaCu2O7
_chemical_formula_sum 'Sr4 Pr2 Ga2 Cu4 O14'
_cell_length_a 12.302
_cell_length_b 12.302
_cell_length_c 12.302
_cell_angle_alpha 154.26
_cell_angle_beta 153.65
_cell_angle_gamma 37.17
_space_group_name_H-M_alt 'P 1'
_space_group_IT_number 1
loop_
_space_group_symop_operation_xyz
'x,y,z'
loop_
_atom_site_label
_atom_site_type_symbol
_atom_site_fract_x
_atom_site_fract_y
_atom_site_fract_z
_atom_site_occupancy
O1 O 0.629 0.709 0.983 1
O2 O 0.818 0.320 0.000 1
O3 O 0.129 0.867 0.496 1
O4 O 0.774 0.853 0.983 1
O5 O 0.180 0.682 0.000 1
O6 O 0.371 0.353 0.079 1
O7 O 0.683 0.185 0.999 1
O8 O 0.686 0.685 0.502 1
O9 O 0.226 0.209 0.079 1
O10 O 0.871 0.367 0.738 1
O11 O 0.182 0.182 0.502 1
O12 O 0.317 0.316 0.502 1
O13 O 0.314 0.816 0.999 1
O14 O 0.820 0.820 0.502 1
Sr1 Sr 0.172 0.651 0.517 1
Sr2 Sr 0.633 0.151 0.478 1
Sr3 Sr 0.828 0.345 0.478 1
Sr4 Sr 0.367 0.845 0.517 1
Cu1 Cu 0.075 0.078 0.000 1
Cu2 Cu 0.925 0.925 0.003 1
Cu3 Cu 0.422 0.425 0.000 1
Cu4 Cu 0.578 0.578 0.003 1
Ga1 Ga 0.821 0.715 0.036 1
Ga2 Ga 0.179 0.215 0.894 1
Pr1 Pr 0.500 0.001 0.501 1
Pr2 Pr 0.000 0.501 0.501 1
# energy = -0.229 hartree per atom
# symmetry = Ima2

=====

7.
# TiMnSi2 | Materials Project | PBE | relaxed
data_TiMnSi2
_chemical_formula_sum 'Ti12 Mn12 Si24'
_cell_length_a 7.719
_cell_length_b 8.659
_cell_length_c 9.482
_cell_angle_alpha 90.00
_cell_angle_beta 90.00
_cell_angle_gamma 90.00
_space_group_name_H-M_alt 'P 1'
_space_group_IT_number 1
loop_
_space_group_symop_operation_xyz
'x,y,z'
loop_
_atom_site_label
_atom_site_type_symbol
_atom_site_fract_x
_atom_site_fract_y
_atom_site_fract_z
_atom_site_occupancy
Mn1 Mn 0.248 0.415 0.753 1
Mn2 Mn 0.752 0.415 0.753 1
Mn3 Mn 0.248 0.915 0.747 1
Mn4 Mn 0.756 0.500 0.500 1
Mn5 Mn 0.248 0.585 0.247 1
Mn6 Mn 0.752 0.085 0.253 1
Mn7 Mn 0.244 0.500 0.500 1
Mn8 Mn 0.248 0.085 0.253 1
Mn9 Mn 0.752 0.585 0.247 1
Mn10 Mn 0.756 0.000 0.000 1
Mn11 Mn 0.244 0.000 0.000 1
Mn12 Mn 0.752 0.915 0.747 1
Ti1 Ti 0.760 0.328 0.047 1
Ti2 Ti 0.760 0.172 0.547 1
Ti3 Ti 0.240 0.672 0.953 1
Ti4 Ti 0.240 0.328 0.047 1
Ti5 Ti 0.000 0.668 0.679 1
Ti6 Ti 0.240 0.828 0.453 1
Ti7 Ti 0.760 0.828 0.453 1
Ti8 Ti 0.760 0.672 0.953 1
Ti9 Ti 0.000 0.332 0.321 1
Ti10 Ti 0.000 0.832 0.179 1
Ti11 Ti 0.000 0.168 0.821 1
Ti12 Ti 0.240 0.172 0.547 1
Si1 Si 0.000 0.130 0.104 1
Si2 Si 0.000 0.462 0.879 1
Si3 Si 0.346 0.668 0.682 1
Si4 Si 0.000 0.870 0.896 1
Si5 Si 0.000 0.038 0.379 1
Si6 Si 0.500 0.537 0.124 1
Si7 Si 0.500 0.963 0.624 1
Si8 Si 0.654 0.332 0.318 1
Si9 Si 0.654 0.668 0.682 1
Si10 Si 0.000 0.630 0.396 1
Si11 Si 0.500 0.875 0.903 1
Si12 Si 0.000 0.370 0.604 1
Si13 Si 0.000 0.538 0.121 1
Si14 Si 0.500 0.037 0.376 1
Si15 Si 0.500 0.375 0.597 1
Si16 Si 0.500 0.463 0.876 1
Si17 Si 0.346 0.168 0.818 1
Si18 Si 0.654 0.168 0.818 1
Si19 Si 0.654 0.832 0.182 1
Si20 Si 0.346 0.832 0.182 1
Si21 Si 0.000 0.962 0.621 1
Si22 Si 0.346 0.332 0.318 1
Si23 Si 0.500 0.125 0.097 1
Si24 Si 0.500 0.625 0.403 1
# energy = -0.280 hartree per atom
# symmetry = Pbam

=====

8.
# KSbO3 | Materials Project | PBE | relaxed
data_KSbO3
_chemical_formula_sum 'K12 Sb12 O36'
_cell_length_a 9.749
_cell_length_b 9.749
_cell_length_c 9.749
_cell_angle_alpha 90.00
_cell_angle_beta 90.00
_cell_angle_gamma 90.00
_space_group_name_H-M_alt 'P 1'
_space_group_IT_number 1
loop_
_space_group_symop_operation_xyz
'x,y,z'
loop_
_atom_site_label
_atom_site_type_symbol
_atom_site_fract_x
_atom_site_fract_y
_atom_site_fract_z
_atom_site_occupancy
Sb1 Sb 0.657 0.500 0.000 1
Sb2 Sb 0.500 0.000 0.343 1
Sb3 Sb 0.500 0.157 0.000 1
Sb4 Sb 0.500 0.000 0.657 1
Sb5 Sb 0.500 0.843 0.000 1
Sb6 Sb 0.000 0.500 0.843 1
Sb7 Sb 0.000 0.657 0.500 1
Sb8 Sb 0.000 0.343 0.500 1
Sb9 Sb 0.843 0.000 0.500 1
Sb10 Sb 0.157 0.000 0.500 1
Sb11 Sb 0.343 0.500 0.000 1
Sb12 Sb 0.000 0.500 0.157 1
O1 O 0.500 0.138 0.500 1
O2 O 0.290 0.997 0.657 1
O3 O 0.003 0.657 0.710 1
O4 O 0.657 0.290 0.997 1
O5 O 0.290 0.003 0.343 1
O6 O 0.843 0.790 0.497 1
O7 O 0.710 0.003 0.657 1
O8 O 0.000 0.362 0.000 1
O9 O 0.657 0.710 0.003 1
O10 O 0.362 0.000 0.000 1
O11 O 0.000 0.000 0.638 1
O12 O 0.500 0.862 0.500 1
O13 O 0.343 0.290 0.003 1
O14 O 0.500 0.500 0.862 1
O15 O 0.210 0.497 0.157 1
O16 O 0.997 0.343 0.710 1
O17 O 0.862 0.500 0.500 1
O18 O 0.500 0.500 0.138 1
O19 O 0.343 0.710 0.997 1
O20 O 0.503 0.157 0.790 1
O21 O 0.000 0.000 0.362 1
O22 O 0.210 0.503 0.843 1
O23 O 0.497 0.157 0.210 1
O24 O 0.157 0.210 0.497 1
O25 O 0.138 0.500 0.500 1
O26 O 0.710 0.997 0.343 1
O27 O 0.997 0.657 0.290 1
O28 O 0.503 0.843 0.210 1
O29 O 0.000 0.638 0.000 1
O30 O 0.003 0.343 0.290 1
O31 O 0.638 0.000 0.000 1
O32 O 0.790 0.497 0.843 1
O33 O 0.497 0.843 0.790 1
O34 O 0.157 0.790 0.503 1
O35 O 0.790 0.503 0.157 1
O36 O 0.843 0.210 0.503 1
K1 K 0.153 0.153 0.153 1
K2 K 0.250 0.750 0.250 1
K3 K 0.653 0.347 0.653 1
K4 K 0.847 0.847 0.153 1
K5 K 0.153 0.847 0.847 1
K6 K 0.347 0.653 0.653 1
K7 K 0.750 0.750 0.750 1
K8 K 0.847 0.153 0.847 1
K9 K 0.653 0.653 0.347 1
K10 K 0.250 0.250 0.750 1
K11 K 0.750 0.250 0.250 1
K12 K 0.347 0.347 0.347 1
# energy = -0.207 hartree per atom
# symmetry = Pn-3

=====

- Which of these has the highest energy?
  Ce19Ga13

=====

- The highest energy belongs to which entry?
  Ce19Ga13